# 1
Dy2Fe17C2 | PBE | optimized geometry

```
21
Lattice="4.8208 -4.2935 0.0000 4.8208 4.2935 0.0000 -0.9565 0.0000 6.4052" Properties=species:S:1:pos:R:3 pbc="T T T"
Dy 1.1554 0.0000 2.1570
Dy 7.5298 0.0000 4.2482
Fe 2.4104 2.1467 0.0000
Fe 0.6769 0.0000 5.4738
Fe 3.5479 2.1081 2.1906
Fe 4.8208 2.4536 0.0000
Fe 2.7558 1.2176 4.5770
Fe 5.1373 2.1081 4.2145
Fe 3.7984 0.0000 0.6172
Fe 2.7558 -1.2176 4.5770
Fe 2.4104 -2.1467 0.0000
Fe 4.3426 0.0000 3.2026
Fe 5.9294 1.2176 1.8281
Fe 4.8868 0.0000 5.7880
Fe 3.5479 -2.1081 2.1906
Fe 5.9294 -1.2176 1.8281
Fe 4.8208 -2.4536 0.0000
Fe 5.1373 -2.1081 4.2145
Fe 8.0084 0.0000 0.9313
C 1.9322 2.1467 3.2026
C 1.9322 -2.1467 3.2026
```

Results
* DFT formation energy: 169.6 meV per atom

***

# 2
Dy2Fe14C | PBE | optimized geometry

```
68
Lattice="8.7249 0.0000 0.0000 0.0000 8.7249 0.0000 0.0000 0.0000 11.7154" Properties=species:S:1:pos:R:3 pbc="T T T"
Dy 1.2589 1.2589 0.0000
Dy 2.1034 2.1034 5.8577
Dy 2.2591 6.4658 0.0000
Dy 3.1036 5.6214 5.8577
Dy 5.6214 3.1036 5.8577
Dy 6.4658 2.2591 0.0000
Dy 6.6216 6.6216 5.8577
Dy 7.4660 7.4660 0.0000
Fe 0.0000 0.0000 4.5917
Fe 0.0000 0.0000 7.1237
Fe 0.0000 4.3625 0.0000
Fe 0.0000 4.3625 5.8577
Fe 0.3084 5.6021 2.0547
Fe 0.3084 5.6021 9.6607
Fe 0.5582 6.3303 4.4489
Fe 0.5582 6.3303 7.2664
Fe 0.8462 7.8787 2.3882
Fe 0.8462 7.8787 9.3271
Fe 1.2396 4.0541 3.8030
Fe 1.2396 4.0541 7.9123
Fe 1.6106 1.6106 2.9828
Fe 1.6106 1.6106 8.7325
Fe 1.9678 3.8042 1.4087
Fe 1.9678 3.8042 10.3066
Fe 2.3947 8.1667 4.4489
Fe 2.3947 8.1667 7.2664
Fe 2.7519 5.9730 2.8748
Fe 2.7519 5.9730 8.8405
Fe 3.1228 8.4166 2.0547
Fe 3.1228 8.4166 9.6607
Fe 3.5162 3.5162 3.4694
Fe 3.5162 3.5162 8.2459
Fe 3.8042 1.9678 1.4087
Fe 3.8042 1.9678 10.3066
Fe 4.0541 1.2396 3.8030
Fe 4.0541 1.2396 7.9123
Fe 4.3625 0.0000 0.0000
Fe 4.3625 0.0000 5.8577
Fe 4.3625 4.3625 1.2660
Fe 4.3625 4.3625 10.4493
Fe 4.6708 7.4853 3.8030
Fe 4.6708 7.4853 7.9123
Fe 4.9207 6.7571 1.4087
Fe 4.9207 6.7571 10.3066
Fe 5.2087 5.2087 3.4694
Fe 5.2087 5.2087 8.2459
Fe 5.6021 0.3084 2.0547
Fe 5.6021 0.3084 9.6607
Fe 5.9730 2.7519 2.8748
Fe 5.9730 2.7519 8.8405
Fe 6.3303 0.5582 4.4489
Fe 6.3303 0.5582 7.2664
Fe 6.7571 4.9207 1.4087
Fe 6.7571 4.9207 10.3066
Fe 7.1144 7.1144 2.9828
Fe 7.1144 7.1144 8.7325
Fe 7.4853 4.6708 3.8030
Fe 7.4853 4.6708 7.9123
Fe 7.8787 0.8462 2.3882
Fe 7.8787 0.8462 9.3271
Fe 8.1667 2.3947 4.4489
Fe 8.1667 2.3947 7.2664
Fe 8.4166 3.1228 2.0547
Fe 8.4166 3.1228 9.6607
C 1.1087 7.6162 5.8577
C 3.2537 3.2537 0.0000
C 5.4712 5.4712 0.0000
C 7.6162 1.1087 5.8577
```

Results
* DFT formation energy: -70.4 meV per atom

***

| no. | calculated density (g cm⁻³) |
| --- | --- |
| 1 | 8.13 |
| 2 | 8.33 |